1.
This record from the Materials Project describes crystalline Ba3Al2P4 at its relaxed geometry. The functional is r²SCAN.

Space-group type   Pnma
Crystal system   orthorhombic
Energy   -556.261 eV per cell

Unit cell a=7.336 b=11.612 c=11.689 alpha=90.00 beta=90.00 gamma=90.00
Fractional positions:
Ba: 0.079 0.078 0.140
Ba: 0.079 0.422 0.140
Ba: 0.097 0.250 0.767
Ba: 0.403 0.750 0.267
Ba: 0.421 0.578 0.640
Ba: 0.421 0.922 0.640
Ba: 0.579 0.078 0.360
Ba: 0.579 0.422 0.360
Ba: 0.597 0.250 0.733
Ba: 0.903 0.750 0.233
Ba: 0.921 0.578 0.860
Ba: 0.921 0.922 0.860
Al: 0.058 0.125 0.465
Al: 0.058 0.375 0.465
Al: 0.442 0.625 0.965
Al: 0.442 0.875 0.965
Al: 0.558 0.125 0.035
Al: 0.558 0.375 0.035
Al: 0.942 0.625 0.535
Al: 0.942 0.875 0.535
P: 0.089 0.750 0.667
P: 0.152 0.556 0.388
P: 0.152 0.944 0.388
P: 0.196 0.750 0.028
P: 0.304 0.250 0.528
P: 0.348 0.056 0.888
P: 0.348 0.444 0.888
P: 0.411 0.250 0.167
P: 0.589 0.750 0.833
P: 0.652 0.556 0.112
P: 0.652 0.944 0.112
P: 0.696 0.750 0.472
P: 0.804 0.250 0.972
P: 0.848 0.056 0.612
P: 0.848 0.444 0.612
P: 0.911 0.250 0.333

2.
This record from the Materials Project describes crystalline BaAl2S4 at its relaxed geometry. The functional is r²SCAN.

Space-group type   Pa-3
Crystal system   cubic
Energy   -1007.253 eV per cell

Unit cell a=12.732 b=12.732 c=12.732 alpha=90.00 beta=90.00 gamma=90.00
Fractional positions:
Ba: 0.000 0.000 0.000
Ba: 0.000 0.500 0.500
Ba: 0.127 0.627 0.873
Ba: 0.127 0.873 0.373
Ba: 0.373 0.127 0.873
Ba: 0.373 0.373 0.373
Ba: 0.500 0.000 0.500
Ba: 0.500 0.500 0.000
Ba: 0.627 0.627 0.627
Ba: 0.627 0.873 0.127
Ba: 0.873 0.127 0.627
Ba: 0.873 0.373 0.127
Al: 0.127 0.196 0.357
Al: 0.127 0.304 0.857
Al: 0.143 0.627 0.196
Al: 0.143 0.873 0.696
Al: 0.196 0.143 0.627
Al: 0.196 0.357 0.127
Al: 0.304 0.643 0.627
Al: 0.304 0.857 0.127
Al: 0.357 0.127 0.196
Al: 0.357 0.373 0.696
Al: 0.373 0.696 0.357
Al: 0.373 0.804 0.857
Al: 0.627 0.196 0.143
Al: 0.627 0.304 0.643
Al: 0.643 0.627 0.304
Al: 0.643 0.873 0.804
Al: 0.696 0.143 0.873
Al: 0.696 0.357 0.373
Al: 0.804 0.643 0.873
Al: 0.804 0.857 0.373
Al: 0.857 0.127 0.304
Al: 0.857 0.373 0.804
Al: 0.873 0.696 0.143
Al: 0.873 0.804 0.643
S: 0.025 0.080 0.272
S: 0.025 0.420 0.772
S: 0.080 0.228 0.525
S: 0.080 0.272 0.025
S: 0.128 0.141 0.790
S: 0.128 0.359 0.290
S: 0.141 0.710 0.628
S: 0.141 0.790 0.128
S: 0.210 0.628 0.359
S: 0.210 0.872 0.859
S: 0.228 0.525 0.080
S: 0.228 0.975 0.580
S: 0.272 0.025 0.080
S: 0.272 0.475 0.580
S: 0.290 0.128 0.359
S: 0.290 0.372 0.859
S: 0.359 0.210 0.628
S: 0.359 0.290 0.128
S: 0.372 0.641 0.790
S: 0.372 0.859 0.290
S: 0.420 0.728 0.525
S: 0.420 0.772 0.025
S: 0.475 0.580 0.272
S: 0.475 0.920 0.772
S: 0.525 0.080 0.228
S: 0.525 0.420 0.728
S: 0.580 0.228 0.975
S: 0.580 0.272 0.475
S: 0.628 0.141 0.710
S: 0.628 0.359 0.210
S: 0.641 0.710 0.872
S: 0.641 0.790 0.372
S: 0.710 0.628 0.141
S: 0.710 0.872 0.641
S: 0.728 0.525 0.420
S: 0.728 0.975 0.920
S: 0.772 0.025 0.420
S: 0.772 0.475 0.920
S: 0.790 0.128 0.141
S: 0.790 0.372 0.641
S: 0.859 0.210 0.872
S: 0.859 0.290 0.372
S: 0.872 0.641 0.710
S: 0.872 0.859 0.210
S: 0.920 0.728 0.975
S: 0.920 0.772 0.475
S: 0.975 0.580 0.228
S: 0.975 0.920 0.728

3.
This record from the Materials Project describes crystalline BaAlSi at its relaxed geometry. The functional is r²SCAN.

Space-group type   P-6m2
Crystal system   hexagonal
Energy   -43.302 eV per cell

Unit cell a=4.308 b=4.308 c=5.226 alpha=90.00 beta=90.00 gamma=120.00
Fractional positions:
Ba: 0.000 0.000 0.000
Al: 0.667 0.333 0.500
Si: 0.333 0.667 0.500

4.
This record from the Materials Project describes crystalline Be4AlFe at its relaxed geometry. The functional is r²SCAN.

Space-group type   F-43m
Crystal system   cubic
Energy   -39.550 eV per cell

Unit cell a=4.222 b=4.222 c=4.222 alpha=60.00 beta=60.00 gamma=60.00
Fractional positions:
Be: 0.377 0.377 0.377
Be: 0.377 0.377 0.869
Be: 0.377 0.869 0.377
Be: 0.869 0.377 0.377
Al: 0.000 0.000 0.000
Fe: 0.750 0.750 0.750

It is found that the energy relative to the elements values, taken in the order of the records, are -1.122; -1.691; -0.432; -0.175 eV per atom.